# RbCeMg6O8

A geometry-optimized RbCeMg6O8 structure (PBE-GGA, the Materials Project).

Computed properties:
DFT formation energy ... -39.95 eV per formula unit
SG ... P4/mmm
Crystal system ... tetragonal
Corrected total energy (MP2020 scheme) ... -96.05 eV/cell
Raw total energy ... -5.66 eV/atom
Density ... 4.04 Mg/m³
E above lowest polymorph ... 100 meV/atom

POSCAR file:
```
RbCeMg6O8
1.0
-4.8993 -0.3650 -7.7605
-1.3219 -4.4154 1.0422
-3.7720 1.6728 2.3027
Mg O Ce Rb
6 8 1 1
Direct
0.5000 0.5000 0.5000
0.0000 0.5000 0.5000
0.2710 0.0000 0.5000
0.7290 0.5000 0.0000
0.2710 0.5000 0.0000
0.7290 0.0000 0.5000
0.7660 0.0000 0.0000
0.0000 0.0000 0.5000
0.5000 0.5000 0.0000
0.2340 0.0000 0.0000
0.5000 0.0000 0.5000
0.0000 0.5000 0.0000
0.7497 0.5000 0.5000
0.2503 0.5000 0.5000
0.0000 0.0000 0.0000
0.5000 0.0000 0.0000
```